# 1
The following is a GGA+U calculation of an optimized crystal structure of Fe2Ni3H4Se6O20, from the Materials Project database.

total moment = 16.0 μB/f.u.
volume = 449.0 Å³ per cell
total energy = -5.393 eV per atom

Geometry as POSCAR:
```
Fe2Ni3H4Se6O20
1.0
6.5345 0.0000 0.0000
1.8843 7.8475 0.0000
1.8046 0.3147 8.7552
O Se H Ni Fe
20 6 4 3 2
Cartesian
6.5695 6.2689 0.2670
4.4347 2.6525 5.9750
6.4903 1.8783 8.4079
6.4009 4.7309 7.3239
8.4859 3.2268 6.7171
1.3827 2.0275 2.5887
6.7174 7.6581 6.8044
3.6538 1.8932 8.4883
3.7330 6.2838 0.3473
8.8406 6.1346 6.1666
5.7886 5.5096 2.7803
3.5059 0.5041 1.9508
7.0185 0.9488 5.7067
6.6586 3.5358 4.5335
3.8402 4.6952 8.1345
3.5647 4.6263 4.2217
3.8225 3.4312 1.4313
3.2048 7.2133 3.0486
6.3831 3.4669 0.6208
1.7375 4.9353 2.0381
3.1290 1.9215 6.7873
7.8736 7.4656 5.5244
5.1421 2.3077 1.1335
5.0812 5.8545 7.6217
7.0943 6.2406 1.9679
2.3497 0.6965 3.2308
6.3259 4.3360 4.0671
3.0489 5.1552 4.8817
7.1744 3.0070 3.8735
3.8974 3.8262 4.6881
3.2672 0.0000 0.0000
6.4505 2.7804 6.4313
3.7728 5.3817 2.3240
1.8474 3.1553 1.0404
8.3759 5.0068 7.7149
```

***

# 2
The following is a GGA+U calculation of an optimized crystal structure of FeHO2, from the Materials Project database.

total moment = 5.0 μB/f.u.
volume = 698.9 Å³ per cell
total energy = -5.971 eV per atom

Geometry as POSCAR:
```
FeHO2
1.0
10.5420 -0.0047 -0.3137
-0.0029 6.1826 -0.0038
0.2957 -0.0080 10.7138
Fe H O
16 16 32
Cartesian
1.7102 3.0416 6.7044
3.9480 1.5090 8.7808
3.7395 6.1057 1.2169
7.1720 2.9803 8.5745
9.1801 6.1687 3.1737
3.7057 3.1398 1.1531
9.0628 1.4982 6.4026
1.7433 4.6002 3.5659
7.1179 1.4913 0.9501
1.7811 1.5174 3.5691
9.1210 4.5843 6.2745
1.7169 6.1355 6.6917
7.1618 0.0070 8.5492
9.1674 3.0534 3.1722
4.0351 4.5998 8.7699
6.9192 4.5897 1.0599
4.5492 6.1612 6.7298
6.9809 3.0545 5.6707
5.2154 1.7456 2.4087
1.1867 4.5748 8.8657
6.9967 6.0497 5.6036
9.3145 4.6697 8.9322
6.5884 3.4375 3.3539
9.6494 4.7009 0.9361
4.5275 2.9814 6.7129
1.0462 1.4756 8.7677
1.6772 1.4532 0.7594
9.7679 1.6628 0.9854
1.5217 4.6400 0.8304
6.4613 0.1347 3.2281
3.8780 3.1433 4.0931
3.9047 6.0774 4.0925
7.1096 6.1167 -0.1699
0.5971 6.1584 3.2785
8.9119 1.5155 4.3528
10.3087 3.0480 6.5246
1.8426 1.4923 8.2066
9.0508 1.5510 1.6293
7.5816 6.0952 6.3761
5.9297 4.5907 8.4789
2.3614 1.5214 1.4441
4.9554 4.6009 1.3707
2.2636 4.6154 1.4528
10.3123 6.1276 6.5077
5.0476 1.5583 1.4640
3.8089 3.0519 9.9986
3.7802 6.1346 7.3231
7.5918 3.0861 6.4214
3.3054 6.1515 3.3330
1.8978 4.5883 8.2033
8.5080 1.4893 8.3226
2.0315 1.5027 5.4941
2.0200 4.5869 5.4868
8.9907 4.6325 1.6446
7.0960 3.1034 2.5959
8.9056 4.6089 4.3234
8.5698 4.5924 8.3171
3.7938 6.1540 10.0298
0.5895 3.0508 3.2761
7.1225 0.0150 2.5287
5.8523 1.5046 8.4600
3.2947 3.0445 3.3226
3.7791 3.0449 7.3279
7.1033 3.0590 -0.1378
```

***

# 3
The following is a GGA+U calculation of an optimized crystal structure of Fe21HO32, from the Materials Project database.

total moment = 105.0 μB/f.u.
volume = 1252.1 Å³ per cell
total energy = -6.549 eV per atom

Geometry as POSCAR:
```
Fe21HO32
1.0
6.0419 -6.0688 0.0000
6.0419 6.0688 0.0000
0.0000 0.0000 17.0741
O Fe H
64 42 2
Cartesian
6.0419 1.6054 3.0823
4.4538 3.0349 9.5606
1.6050 0.0077 1.1324
6.0419 -1.6054 11.6194
2.9838 -1.6317 7.5886
4.3759 -0.0088 0.9614
4.4925 0.0233 5.4216
6.0419 -1.6408 3.5063
4.4010 -3.0703 9.4992
6.0419 -4.4601 15.9595
4.4538 -3.0349 1.0236
2.8642 -1.5229 11.6352
4.4010 3.0703 0.9621
6.0419 1.7010 16.1522
7.5235 3.1904 13.9775
2.9970 1.6451 7.5637
9.0999 -1.6317 7.5886
9.2346 -1.5263 3.0948
6.0419 -1.6788 16.1393
7.5913 -0.0233 13.9586
6.0419 4.4778 15.9646
4.5346 3.2091 5.4554
2.8492 -1.5263 3.0948
6.0419 1.6788 7.6022
4.5602 -3.1904 5.4405
6.0419 4.6544 11.8087
1.6050 -0.0077 9.6695
7.5235 -3.1904 5.4405
7.7079 0.0088 9.4985
10.4788 0.0077 1.1324
7.5913 0.0233 5.4216
4.5602 3.1904 13.9775
9.0999 1.6317 16.1256
6.0419 1.6408 12.0434
1.3774 -0.0113 13.8226
9.2195 1.5229 3.0981
10.7064 0.0113 5.2856
7.6299 -3.0349 1.0236
4.5346 -3.2091 13.9925
1.3774 0.0113 5.2856
6.0419 4.4601 7.4224
10.4788 -0.0077 9.6695
7.5492 -3.2091 13.9925
7.6828 3.0703 0.9621
6.0419 -4.7298 11.7936
6.0419 4.7298 3.2566
9.2195 -1.5229 11.6352
7.7079 -0.0088 0.9614
2.9970 -1.6451 16.1008
2.8642 1.5229 3.0981
4.4925 -0.0233 13.9586
7.6299 3.0349 9.5606
2.8492 1.5263 11.6319
9.0867 1.6451 7.5637
6.0419 -1.7010 7.6151
7.6828 -3.0703 9.4992
4.3759 0.0088 9.4985
2.9838 1.6317 16.1256
9.2346 1.5263 11.6319
9.0867 -1.6451 16.1008
7.5492 3.2091 5.4554
6.0419 -4.6544 3.2716
6.0419 -4.4778 7.4276
10.7064 -0.0113 13.8226
3.0146 0.0063 14.9777
3.0194 3.0229 4.2776
4.5504 -2.9618 15.9598
8.9884 -1.4988 1.1334
6.0419 -3.1052 10.6357
9.0644 3.0229 4.2776
6.0419 -0.2448 12.8948
6.0419 6.0619 8.5486
3.0194 -3.0229 12.8147
6.0419 -4.4712 13.8283
6.0419 3.1052 2.0986
6.0419 0.0066 17.0383
6.0419 4.4712 5.2913
10.4770 0.0063 3.2561
6.0419 -6.0619 0.0115
3.1099 1.5094 1.1425
8.9739 -1.5094 9.6795
7.5479 2.9573 15.9473
6.0419 3.0478 10.7070
3.0953 1.4988 9.6704
4.5504 2.9618 7.4228
10.4770 -0.0063 11.7931
1.6068 -0.0063 11.7931
4.5359 2.9573 15.9473
7.5479 -2.9573 7.4103
6.0419 -4.5155 5.3379
3.1099 -1.5094 9.6795
6.0419 4.5155 13.8750
8.9884 1.4988 9.6704
6.0419 -3.0478 2.1700
3.0953 -1.4988 1.1334
3.0146 -0.0063 6.4407
7.5334 2.9618 7.4228
9.0692 0.0063 14.9777
6.0419 0.2448 4.3577
4.5359 -2.9573 7.4103
9.0644 -3.0229 12.8147
6.0419 -0.0066 8.5013
7.5334 -2.9618 15.9598
8.9739 1.5094 1.1425
1.6068 0.0063 3.2561
9.0692 -0.0063 6.4407
6.0419 2.0881 12.9297
6.0419 -2.0881 4.3926
```

***

# 4
The following is a GGA+U calculation of an optimized crystal structure of Fe8H10O17, from the Materials Project database.

total moment = 40.0 μB/f.u.
volume = 711.0 Å³ per cell
total energy = -5.828 eV per atom

Geometry as POSCAR:
```
Fe8H10O17
1.0
-3.7736 -2.6379 -4.0482
5.8295 -8.7012 0.9586
-6.4743 -3.2037 8.3492
O H Fe
34 20 16
Cartesian
-3.5658 -7.2574 6.2915
-2.8988 -11.8626 3.8938
-2.4631 -9.1674 4.0992
-6.5203 -6.8304 6.3360
-6.6345 -6.0813 3.6604
-2.4897 -3.6728 2.3439
-4.2209 -4.8227 0.1308
0.9558 -9.3842 -1.3242
-1.4370 -10.9195 1.9772
-2.1120 -4.6735 5.1697
-5.4938 -8.5647 4.2055
0.1925 -3.6873 1.9246
-3.6808 -13.8641 5.0547
-4.6580 -4.8046 5.5083
-3.0690 -3.3294 -1.7583
-1.2745 -2.0405 0.3144
1.8102 -7.2206 3.5266
-4.2758 -5.9664 3.1234
-3.9213 -10.1150 6.1132
-5.3514 -3.5924 2.5663
3.3497 -9.4129 3.5902
1.6061 -5.5758 0.2265
-3.4134 -2.3015 4.6367
0.4583 -9.6290 4.0295
-1.2946 -4.7751 -0.0818
-2.0406 -8.8040 8.1272
2.6321 -7.9109 0.8686
-0.3386 -7.2992 -1.3987
-8.3957 -8.0356 4.3262
-1.0315 -10.6533 5.9676
-0.5915 -7.8671 6.1003
1.4731 -10.7382 1.5814
-0.0512 -8.5467 1.4408
-1.9260 -12.8819 6.9297
-6.1364 -8.8616 4.8871
-1.3131 -4.6711 -1.0630
0.8385 -5.4020 0.8177
-1.7114 -4.2689 2.3219
-1.4958 -5.3241 4.7966
-2.1679 -8.5805 3.3778
-1.3829 -11.5433 6.4255
-0.2152 -7.3252 5.3809
-0.7815 -6.4458 -1.2182
-3.0780 -1.7451 3.8414
-6.1728 -3.1354 7.5183
-5.4679 -5.9328 3.3607
-0.3272 -7.7213 1.0137
-2.8264 -6.1420 -1.5369
-3.3182 -12.9535 4.5275
1.6458 -6.3970 3.0441
-4.0520 -7.6116 7.0801
1.6615 -9.9668 -1.7017
-1.4577 -1.0065 -1.4102
-4.9383 -2.9718 1.8665
-1.0722 -10.8644 3.8832
-4.2002 -10.3181 4.1559
-5.1226 -6.6709 5.0793
-2.3062 -9.0245 6.1809
-4.6791 -4.4778 -1.8044
-0.2315 -10.3511 0.5390
-8.1134 -6.0267 5.3082
1.5627 -7.5173 -0.6950
0.2043 -3.2422 -0.0642
0.8505 -9.5425 5.9284
-2.8406 -3.3217 0.2244
-5.3367 -5.3522 1.4734
-7.1429 -7.8304 2.8979
-3.8090 -4.1657 3.8707
3.3568 -6.1731 1.2631
1.6832 -8.9889 2.5043
```

***

# 5
The following is a GGA+U calculation of an optimized crystal structure of FeHO2, from the Materials Project database.

total moment = 5.0 μB/f.u.
volume = 151.2 Å³ per cell
total energy = -5.889 eV per atom

Geometry as POSCAR:
```
FeHO2
1.0
5.3123 0.5681 -4.9049
-4.8399 2.3979 4.8402
4.5943 -2.1397 5.1880
H O Fe
4 8 4
Cartesian
6.0913 0.2464 3.8901
3.4248 -1.5880 4.0770
-0.6732 2.7860 1.1849
1.2905 0.2081 1.0945
4.4985 -0.6582 1.7976
3.6782 0.7743 -2.9115
1.5121 -0.1401 5.4836
3.5487 0.9293 -0.3596
1.9877 -0.1831 1.6437
0.5741 1.5215 3.3248
1.3582 -0.1383 8.0389
3.1093 1.1996 3.4754
6.3219 -1.0071 1.7668
1.4831 -0.1181 3.6272
-1.2673 1.7576 3.3581
3.5957 1.0202 1.4944
```

***

# 6
The following is a GGA+U calculation of an optimized crystal structure of Fe8H10O17, from the Materials Project database.

total moment = 39.3 μB/f.u.
volume = 696.6 Å³ per cell
total energy = -5.735 eV per atom

Geometry as POSCAR:
```
Fe8H10O17
1.0
10.8476 0.1170 -0.3367
0.0593 5.9162 -0.0323
0.1704 -0.0596 10.8509
H O Fe
20 34 16
Cartesian
4.2970 0.2482 6.1530
6.2023 4.4027 9.6275
8.0314 1.6240 3.6870
1.5196 4.5138 0.7634
5.7789 4.3284 1.1640
10.7082 0.2602 4.9010
3.4674 2.9480 2.8912
0.0940 2.2422 0.1792
1.2513 5.0125 8.9574
5.5767 1.5473 1.7941
7.3256 5.3315 1.9964
6.0282 1.3207 9.5761
8.2576 3.7406 7.0262
1.0873 1.8641 8.9411
7.6927 3.6325 1.1776
3.4643 0.4735 2.8615
7.0044 0.7522 6.0999
10.9010 0.4914 10.0674
10.7552 3.2167 4.8038
4.2849 3.1183 6.1388
1.8163 4.7433 8.1197
1.8639 4.7275 5.5478
6.2069 1.4155 8.6102
3.1169 0.2255 3.7452
10.4780 3.3069 5.7656
3.9004 0.1168 9.6652
8.9495 1.8230 3.9616
9.1694 4.5902 3.5999
3.9190 0.1805 7.0470
8.7457 1.4299 8.0301
11.0148 2.6573 9.7839
9.7869 1.5736 1.3619
6.2865 4.3942 8.6516
3.0580 3.0003 3.7765
8.7919 4.3413 8.3338
5.2179 1.4978 0.8874
7.8773 0.0902 10.2140
2.5824 1.5398 1.5964
10.3238 0.1891 5.8178
7.6522 0.3066 2.1124
2.3580 4.4892 1.2767
0.3540 5.3765 10.1091
3.8972 3.0916 9.6340
4.8178 4.4413 1.2590
7.4915 5.8470 6.3717
0.4954 0.1463 3.4697
0.4800 2.9602 3.4605
9.7738 4.3508 1.1428
7.7806 3.1880 6.2990
7.8925 2.8117 10.2605
3.8411 3.1041 7.0053
7.6581 2.9617 1.8951
1.7068 1.5773 5.5291
1.6974 1.6724 8.1393
9.5443 3.0682 2.4954
3.6362 2.9076 0.6774
1.7183 0.1902 6.7875
9.8414 4.1569 10.0452
3.8116 1.6162 8.4497
1.6703 3.1571 6.7451
4.0177 4.5768 8.3984
9.2167 1.7714 6.0867
8.9240 4.7355 5.4229
1.8555 4.5731 3.6123
7.6636 5.9183 8.3833
9.6962 5.9792 2.3629
7.7557 1.4568 0.5539
3.6100 0.1226 0.7241
1.7388 1.5701 3.6396
7.5830 2.7999 8.4869
```

***

# 7
The following is a GGA+U calculation of an optimized crystal structure of FeHO2, from the Materials Project database.

total moment = 5.0 μB/f.u.
volume = 161.3 Å³ per cell
total energy = -5.833 eV per atom

Geometry as POSCAR:
```
FeHO2
1.0
-0.5719 -2.8502 2.3055
-1.5163 -3.0685 -4.1695
7.6338 -2.3678 -1.0337
Fe H O
4 4 8
Cartesian
4.9125 -4.5422 0.0815
0.6331 -3.7443 -2.9791
4.5673 -4.6907 -3.1732
0.9782 -3.5957 0.2756
-0.4113 -2.1738 1.6888
2.6738 -4.8387 -0.8404
5.9568 -6.1126 -4.5864
2.8718 -3.4478 -2.0572
0.4073 -4.6824 -1.2093
3.9081 -6.5057 -2.5951
6.2622 -5.5579 -3.8248
2.6205 -4.0193 -2.8261
1.6374 -1.7807 -0.3025
5.1383 -3.6041 -1.6883
2.9250 -4.2671 -0.0715
-0.7166 -2.7286 0.9272
```

***

# 8
The following is a GGA+U calculation of an optimized crystal structure of FeHO2, from the Materials Project database.

total moment = 5.0 μB/f.u.
volume = 173.4 Å³ per cell
total energy = -5.961 eV per atom

Geometry as POSCAR:
```
FeHO2
1.0
-1.3251 2.5711 -1.0963
4.7297 -1.6845 -5.4468
-4.9140 -5.5264 -2.7199
O Fe H
8 4 4
Cartesian
-2.6233 -4.4094 -7.0348
1.1281 -0.4269 -2.3135
2.6344 -3.2223 -6.5126
-2.4618 -3.2699 -4.7011
0.1917 -4.0876 -5.5498
-1.5880 -0.5777 -3.8174
1.0486 -1.4653 -4.7443
-3.9783 -1.4348 -2.9366
-2.0258 -5.1228 -5.1995
0.1943 0.2512 -3.9983
-2.0205 -2.3376 -3.0567
0.7430 -2.3013 -6.4073
2.3962 0.5826 -5.1188
-4.6816 -1.9664 -3.3451
0.0116 -3.7740 -4.6243
-1.2783 -1.0299 -0.9213
```